DFT (PBE-GGA) results for crystalline Na4Ti2Nb2Si5SO24 at its relaxed geometry.

Summary:
crystal system	triclinic
DFT formation energy	-283.28	kJ/mol of atoms

a = 8.925 Å, b = 8.928 Å, c = 22.480 Å
α = 90.00°, β = 89.95°, γ = 60.15°
Positions (direct):
Na1 0.000 0.000 0.000
Na2 0.001 0.012 0.511
Na3 0.005 0.361 0.760
Na4 0.330 0.353 0.346
Na5 0.337 0.967 0.594
Na6 0.342 0.700 0.090
Na7 0.347 0.338 0.843
Na8 0.369 0.003 0.259
Na9 0.673 0.035 0.423
Na10 0.679 0.670 0.673
Na11 0.684 0.671 0.172
Na12 0.974 0.332 0.089
Ti1 0.011 0.011 0.363
Ti2 0.016 0.000 0.861
Ti3 0.352 0.307 0.490
Ti4 0.667 0.658 0.029
Ti5 0.674 0.655 0.530
Ti6 0.989 0.011 0.657
Nb1 0.330 0.341 0.986
Nb2 0.336 0.326 0.699
Nb3 0.341 0.334 0.198
Nb4 0.663 0.662 0.320
Nb5 0.671 0.659 0.818
Nb6 0.999 0.001 0.154
Si1 0.002 0.292 0.259
Si2 0.006 0.722 0.759
Si3 0.043 0.624 0.092
Si4 0.045 0.335 0.591
Si5 0.281 0.714 0.261
Si6 0.291 0.991 0.756
Si7 0.347 0.039 0.092
Si8 0.378 0.672 0.926
Si9 0.378 0.950 0.429
Si10 0.627 0.329 0.090
Si11 0.637 0.036 0.591
Si12 0.669 0.373 0.429
Si13 0.718 0.277 0.761
Si14 0.721 0.999 0.264
Si15 0.957 0.372 0.926
S1 0.339 0.618 0.590
S2 0.672 0.951 0.927
S3 0.960 0.664 0.427
O1 0.035 0.810 0.818
O2 0.037 0.164 0.316
O3 0.038 0.808 0.098
O4 0.042 0.154 0.595
O5 0.134 0.509 0.433
O6 0.135 0.362 0.652
O7 0.141 0.495 0.149
O8 0.151 0.353 0.932
O9 0.164 0.814 0.318
O10 0.166 0.037 0.815
O11 0.170 0.024 0.098
O12 0.172 0.523 0.751
O13 0.173 0.534 0.035
O14 0.180 0.300 0.254
O15 0.181 0.309 0.536
O16 0.187 0.793 0.594
O17 0.187 0.840 0.921
O18 0.188 0.971 0.422
O19 0.206 0.831 0.200
O20 0.208 0.968 0.695
O21 0.305 0.171 0.752
O22 0.306 0.172 0.037
O23 0.310 0.521 0.255
O24 0.323 0.531 0.537
O25 0.361 0.516 0.645
O26 0.366 0.142 0.433
O27 0.369 0.130 0.153
O28 0.369 0.491 0.930
O29 0.473 0.690 0.987
O30 0.474 0.701 0.267
O31 0.481 0.833 0.486
O32 0.486 0.830 0.766
O33 0.495 0.357 0.433
O34 0.497 0.638 0.588
O35 0.501 0.144 0.647
O36 0.503 0.364 0.148
O37 0.504 0.866 0.369
O38 0.505 0.650 0.870
O39 0.510 0.846 0.086
O40 0.512 0.125 0.931
O41 0.524 0.309 0.751
O42 0.526 0.166 0.254
O43 0.533 0.302 0.033
O44 0.544 0.154 0.531
O45 0.638 0.853 0.587
O46 0.646 0.502 0.086
O47 0.649 0.498 0.370
O48 0.651 0.869 0.872
O49 0.688 0.847 0.981
O50 0.693 0.831 0.267
O51 0.697 0.476 0.484
O52 0.705 0.470 0.766
O53 0.808 0.026 0.323
O54 0.809 0.163 0.819
O55 0.823 0.165 0.096
O56 0.825 0.020 0.598
O57 0.827 0.969 0.923
O58 0.835 0.483 0.266
O59 0.837 0.179 0.422
O60 0.839 0.689 0.766
O61 0.840 0.476 0.985
O62 0.841 0.974 0.204
O63 0.844 0.199 0.702
O64 0.848 0.690 0.480
O65 0.855 0.507 0.583
O66 0.859 0.636 0.086
O67 0.870 0.493 0.867
O68 0.879 0.639 0.373
O69 0.971 0.823 0.423
O70 0.972 0.184 0.922
O71 0.975 0.205 0.199
O72 0.976 0.842 0.701